5
Lattice="2.068 1.026 -3.533 1.415 -3.142 2.436 -3.637 -4.245 -3.362" Properties=species:S:1:pos:R:3 comment="TmAl2Ge2 r2SCAN optimized geometry" e_tot_ev_per_atom=-15.72 e_form_ev_per_atom=-0.450 crystal_system=trigonal pbc="T T T"
Ge 0.704 -2.837 -0.412
Al -0.719 -4.497 -1.727
Tm 0.000 0.000 0.000
Al 0.564 -1.864 -2.732
Ge -0.858 -3.524 -4.046

6
Lattice="4.033 0.000 0.000 -2.017 5.235 0.000 0.000 0.000 5.753" Properties=species:S:1:pos:R:3 comment="YAlGe r2SCAN optimized geometry" e_tot_ev_per_atom=-14.36 e_form_ev_per_atom=-0.725 crystal_system=orthorhombic pbc="T T T"
Y 0.000 3.240 4.315
Y 2.017 1.995 1.438
Ge 0.000 4.141 1.438
Ge 2.017 1.094 4.315
Al 0.000 0.000 2.877
Al 0.000 0.000 0.000

5
Lattice="-4.008 0.518 -1.214 3.066 -0.239 -2.890 -0.753 -6.449 -0.265" Properties=species:S:1:pos:R:3 comment="YbAl2Ge2 r2SCAN optimized geometry" e_tot_ev_per_atom=-15.99 e_form_ev_per_atom=-0.443 crystal_system=trigonal pbc="T T T"
Yb 0.000 0.000 0.000
Al -1.916 -2.015 -1.867
Ge 0.517 -1.625 -2.399
Ge -2.212 -4.546 -1.971
Al 0.222 -4.155 -2.503

24
Lattice="-0.522 -3.918 -3.648 5.339 1.025 -1.865 2.623 -4.856 4.840" Properties=species:S:1:pos:R:3 comment="AlH3 r2SCAN optimized geometry" e_tot_ev_per_atom=-4.33 e_form_ev_per_atom=-0.059 crystal_system=orthorhombic pbc="T T T"
H 1.791 -7.720 0.882
H 0.437 -4.103 -1.004
H 0.310 -1.054 0.309
H 3.307 -3.589 -1.362
H 3.981 -1.915 1.487
H 3.550 -2.812 -3.810
H -0.261 -1.959 -1.824
Al 2.288 -5.271 3.651
H 6.043 -4.523 2.385
H 2.013 -2.978 0.553
H 1.664 -4.671 2.195
H 3.890 -4.936 3.137
H 1.397 -3.226 -3.058
H 5.198 -2.366 -0.560
Al 2.670 0.513 -0.933
H 2.242 -5.383 -0.113
H 3.101 -1.137 -0.605
H 4.133 -4.159 0.689
Al -0.187 -3.503 -2.459
Al 3.606 -2.627 0.023
H 5.428 -4.771 -1.226
H 4.339 -6.611 -0.068
Al 3.834 -5.122 -0.696
Al 1.051 -4.387 0.596

24
Lattice="-4.124 4.836 -0.704 1.260 -3.783 -4.999 -4.920 -3.941 1.742" Properties=species:S:1:pos:R:3 comment="AlH3 r2SCAN optimized geometry" e_tot_ev_per_atom=-4.34 e_form_ev_per_atom=-0.069 crystal_system=orthorhombic pbc="T T T"
H -4.537 -5.654 -2.434
Al -1.432 0.527 -2.852
H -6.108 -2.534 0.330
H -5.152 1.240 -0.852
H -3.246 2.767 -1.527
H -6.069 -0.180 0.866
Al -3.891 -1.444 -1.980
Al 0.630 -1.892 -2.500
H -2.547 -2.328 -1.420
H -2.898 -0.080 -2.228
H -7.255 0.257 -1.496
H -5.236 -0.559 -2.541
H -4.144 -0.961 -0.365
Al -1.830 -3.862 -1.628
H -7.201 -2.133 -1.845
H -2.631 -4.127 -3.109
H -1.675 -0.353 -4.291
Al -2.062 2.418 -0.352
H -0.582 -0.755 -2.115
H -3.639 -1.927 -3.596
Al -4.522 0.448 0.519
H -4.885 -2.807 -1.733
H -1.713 -2.708 -4.827
H -0.528 -3.144 -2.464

8
Lattice="3.885 0.002 2.573 1.383 3.630 2.573 0.003 0.002 4.660" Properties=species:S:1:pos:R:3 comment="AlH3 r2SCAN optimized geometry" e_tot_ev_per_atom=-4.35 e_form_ev_per_atom=-0.074 crystal_system=trigonal pbc="T T T"
H 0.987 1.391 4.781
H 2.747 0.910 6.345
H 2.524 2.724 3.461
Al 2.635 1.817 4.903
H 4.283 2.243 5.024
H 3.077 0.428 4.015
Al 0.000 0.000 0.000
H 2.194 3.206 5.791

16
Lattice="-4.489 -4.489 0.000 -4.489 0.000 -4.489 0.000 -4.489 -4.489" Properties=species:S:1:pos:R:3 comment="AlH3 r2SCAN optimized geometry" e_tot_ev_per_atom=-4.34 e_form_ev_per_atom=-0.064 crystal_system=cubic pbc="T T T"
H -5.612 -3.862 -5.612
H -3.862 -5.612 -5.612
H -1.617 -3.367 -3.367
H -3.367 -5.117 -3.367
H -3.367 -3.367 -1.617
H -3.367 -1.617 -3.367
H -7.362 -5.612 -5.612
H -5.612 -7.362 -5.612
Al -4.489 -2.245 -2.245
H -5.612 -5.612 -7.362
Al -2.245 -4.489 -2.245
H -5.117 -3.367 -3.367
Al -2.245 -2.245 -4.489
H -3.367 -3.367 -5.117
H -5.612 -5.612 -3.862
Al -4.489 -4.489 -4.489

8
Lattice="2.348 1.386 3.334 -3.346 2.675 0.441 -1.733 -3.476 1.862" Properties=species:S:1:pos:R:3 comment="LaAlH6 r2SCAN optimized geometry" e_tot_ev_per_atom=-7.59 e_form_ev_per_atom=-0.434 crystal_system=trigonal pbc="T T T"
H 0.234 -1.319 3.706
Al 0.000 0.000 0.000
H -3.456 -0.484 1.831
H -0.811 2.667 2.785
La -1.366 0.293 2.819
H 0.724 1.069 3.806
H -1.920 -2.082 2.852
H -2.966 1.905 1.931

44
Lattice="6.674 0.000 0.000 0.000 6.674 0.000 0.000 0.000 10.206" Properties=species:S:1:pos:R:3 comment="Na5Al3H14 r2SCAN optimized geometry" e_tot_ev_per_atom=-4.17 e_form_ev_per_atom=-0.246 crystal_system=tetragonal pbc="T T T"
H 3.629 5.473 1.199
Na 4.756 1.419 2.551
H 5.473 3.045 1.199
H 0.000 0.000 8.465
Na 3.337 3.337 0.000
H 1.653 6.172 0.000
Al 0.000 3.337 0.000
H 6.172 5.021 0.000
H 2.136 0.292 3.903
Na 5.254 4.756 7.654
H 5.021 0.501 0.000
Na 1.419 1.918 2.551
H 4.989 3.838 5.103
Al 3.337 0.000 0.000
H 4.538 6.381 6.302
H 3.337 3.337 6.843
H 3.337 3.337 3.363
H 0.000 0.000 1.740
H 0.292 4.538 3.903
Na 4.756 1.419 7.654
Al 3.337 3.337 5.103
H 2.136 0.292 6.302
H 2.835 4.989 5.103
H 5.473 3.045 9.006
H 1.684 2.835 5.103
H 0.292 4.538 6.302
H 1.201 3.629 1.199
Al 3.337 0.000 5.103
H 3.838 1.684 5.103
H 3.045 1.201 1.199
H 4.538 6.381 3.903
Na 1.918 5.254 7.654
Na 5.254 4.756 2.551
Al 0.000 3.337 5.103
H 1.201 3.629 9.006
Al 0.000 0.000 0.000
H 3.045 1.201 9.006
H 6.381 2.136 6.302
Na 0.000 0.000 5.103
Na 1.419 1.918 7.654
H 3.629 5.473 9.006
H 0.501 1.653 0.000
Na 1.918 5.254 2.551
H 6.381 2.136 3.903

12
Lattice="-4.043 0.115 2.838 0.803 -4.689 1.334 4.649 4.014 2.160" Properties=species:S:1:pos:R:3 comment="NaAlH4 r2SCAN optimized geometry" e_tot_ev_per_atom=-4.23 e_form_ev_per_atom=-0.213 crystal_system=tetragonal pbc="T T T"
Na 0.958 -0.741 1.395
H 1.720 2.108 4.400
H 2.345 1.062 2.075
H -0.936 -1.623 4.257
H -0.311 -2.668 1.932
Na 0.451 0.180 4.937
Al -0.662 -3.028 3.481
H -0.209 0.816 2.747
H -1.995 -3.947 3.654
Al 2.071 2.468 2.851
H 1.619 -1.376 3.585
H 3.404 3.387 2.679

8
Lattice="2.771 -3.210 0.004 2.771 3.210 0.004 -0.951 0.000 4.132" Properties=species:S:1:pos:R:3 comment="NdAlH6 r2SCAN optimized geometry" e_tot_ev_per_atom=-7.49 e_form_ev_per_atom=-0.381 crystal_system=trigonal pbc="T T T"
H 3.139 2.064 1.226
H 1.452 -2.064 2.914
H 3.139 -2.064 1.226
H 1.452 2.064 2.914
H 3.846 0.000 0.258
H 0.745 0.000 3.881
Nd 2.296 0.000 2.070
Al 0.000 0.000 0.000

16
Lattice="-2.649 2.499 -7.208 -4.339 -5.296 4.283 -2.761 4.283 2.499" Properties=species:S:1:pos:R:3 comment="Hf5Al3 r2SCAN optimized geometry" e_tot_ev_per_atom=-31.08 e_form_ev_per_atom=-0.340 crystal_system=hexagonal pbc="T T T"
Hf -6.013 -1.060 -1.603
Al -3.122 4.204 -0.985
Al -3.308 -2.124 3.208
Hf -1.725 -0.192 1.646
Al -3.463 -0.039 -0.536
Hf -5.376 -0.821 5.136
Hf -4.088 5.116 -3.615
Al -2.288 2.578 -3.723
Hf -3.736 2.546 1.177
Al -3.792 1.111 3.574
Hf -5.156 -0.556 1.702
Hf -1.322 1.666 -1.093
Al -6.286 1.525 0.110
Hf -4.593 2.042 -2.128
Hf -3.212 -0.099 -3.378
Hf -3.776 -2.698 0.452

8
Lattice="3.064 -5.307 0.000 3.064 5.307 0.000 0.000 0.000 4.967" Properties=species:S:1:pos:R:3 comment="Hf3Al r2SCAN optimized geometry" e_tot_ev_per_atom=-35.79 e_form_ev_per_atom=-0.241 crystal_system=hexagonal pbc="T T T"
Hf 1.567 0.904 1.242
Hf 4.561 0.904 1.242
Hf 3.064 -3.498 3.725
Hf 4.561 -0.904 3.725
Al 3.064 1.769 3.725
Hf 1.567 -0.904 3.725
Al 3.064 -1.769 1.242
Hf 3.064 3.498 1.242

7
Lattice="2.858 0.441 4.473 0.585 -4.275 -3.124 3.904 2.539 -2.745" Properties=species:S:1:pos:R:3 comment="Hf4Al3 r2SCAN optimized geometry" e_tot_ev_per_atom=-29.13 e_form_ev_per_atom=-0.446 crystal_system=hexagonal pbc="T T T"
Hf 3.294 -1.433 -1.964
Al 1.429 0.221 2.237
Al 0.292 -2.138 -1.562
Hf 2.890 1.880 -2.032
Al 1.721 -1.917 0.675
Hf 4.052 0.139 0.569
Hf 1.014 0.659 -0.713

12
Lattice="-4.411 2.659 0.854 1.103 -4.219 2.872 4.121 4.990 5.748" Properties=species:S:1:pos:R:3 comment="HfAl2 r2SCAN optimized geometry" e_tot_ev_per_atom=-20.05 e_form_ev_per_atom=-0.514 crystal_system=hexagonal pbc="T T T"
Al 3.252 0.698 6.839
Al -2.440 2.733 2.635
Al 1.100 1.996 7.255
Al -1.902 0.675 4.037
Hf -0.246 3.185 4.773
Al 0.000 0.000 0.000
Al 2.060 2.495 2.874
Al 2.714 2.757 5.437
Al -0.288 1.435 2.219
Hf 1.281 5.034 6.902
Hf -0.469 -1.603 2.572
Hf 1.058 0.246 4.701

12
Lattice="2.631 -4.582 0.000 2.631 4.582 0.000 0.000 0.000 8.700" Properties=species:S:1:pos:R:3 comment="HfAlMo r2SCAN optimized geometry" e_tot_ev_per_atom=-26.35 e_form_ev_per_atom=-0.360 crystal_system=orthorhombic pbc="T T T"
Hf 2.631 1.515 7.083
Al 3.920 -0.785 0.000
Al 2.631 -4.546 6.534
Mo 2.631 -3.031 0.000
Hf 2.631 -1.564 2.741
Mo 1.356 0.797 4.350
Al 1.343 -0.785 0.000
Mo 2.631 3.030 4.350
Hf 2.631 -1.564 5.960
Al 2.631 -4.546 2.167
Hf 2.631 1.515 1.618
Mo 3.907 0.797 4.350

10
Lattice="1.652 -5.662 0.000 1.652 5.662 0.000 0.000 0.000 8.839" Properties=species:S:1:pos:R:3 comment="Hf3AlN r2SCAN optimized geometry" e_tot_ev_per_atom=-31.35 e_form_ev_per_atom=-1.089 crystal_system=orthorhombic pbc="T T T"
Hf 1.652 -1.452 4.048
Hf 1.652 -5.173 2.210
Hf 1.652 1.452 8.468
Hf 1.652 5.173 6.629
Al 1.652 -2.798 6.629
Al 1.652 2.798 2.210
N 0.000 0.000 4.419
Hf 1.652 -1.452 0.371
N 0.000 0.000 0.000
Hf 1.652 1.452 4.790

12
Lattice="2.647 -4.585 0.000 2.647 4.585 0.000 0.000 0.000 8.316" Properties=species:S:1:pos:R:3 comment="Hf2Al3Pd r2SCAN optimized geometry" e_tot_ev_per_atom=-22.93 e_form_ev_per_atom=-0.690 crystal_system=hexagonal pbc="T T T"
Pd 0.000 0.000 4.158
Al 1.346 -0.777 6.237
Hf 2.647 1.528 4.717
Hf 2.647 -1.528 0.559
Hf 2.647 -1.528 3.599
Al 3.948 -0.777 6.237
Pd 0.000 0.000 0.000
Al 2.647 -3.031 6.237
Hf 2.647 1.528 7.757
Al 1.346 0.777 2.079
Al 2.647 3.031 2.079
Al 3.948 0.777 2.079

29
Lattice="-7.008 -5.064 0.963 -1.053 -4.628 7.291 -6.205 2.196 5.688" Properties=species:S:1:pos:R:3 comment="Hf6Al16Pd7 r2SCAN optimized geometry" e_tot_ev_per_atom=-19.36 e_form_ev_per_atom=-0.757 crystal_system=cubic pbc="T T T"
Al -9.417 -5.864 5.298
Al -1.717 -0.902 1.678
Hf -6.794 -1.576 6.503
Hf -7.472 -5.920 7.440
Hf -4.912 -4.070 7.088
Al -8.915 -3.967 11.765
Al -4.935 0.237 4.628
Pd -6.205 2.196 5.688
Al -4.767 -2.505 4.659
Al -9.500 -4.991 9.284
Al -12.003 -4.193 8.483
Al -2.263 -3.303 5.459
Al -5.466 -5.575 9.496
Hf -9.354 -3.426 6.855
Pd -3.629 -1.216 6.490
Hf -7.087 -4.229 4.776
Al -12.550 -6.594 12.265
Pd -4.031 -4.846 4.127
Hf -7.179 -3.267 9.166
Pd -3.504 -2.532 0.482
Pd -6.607 -1.434 3.326
Al -5.383 -6.448 5.510
Al -4.850 -1.631 8.645
Al -8.884 -1.047 8.433
Al -9.331 -7.733 9.314
Pd -0.527 -2.314 3.645
Al -8.801 -1.920 4.447
Pd -3.102 1.098 2.844
Al -5.352 -3.529 2.177